Computed, not measured: Li2Co3SnO8 after structural relaxation at the PBE with a Hubbard U level of DFT.

Computed properties:
excess energy over the best structure of this formula in the dataset: 27.8 meV/atom
symmetry: C2 (5)
spin magnetization: 4.0 Bohr magnetons per cell
DFT formation energy: -1.6482 eV per atom

Structure (POSCAR):
```
Li2Co3SnO8
1.0
6.011 -6.015 0.000
6.011 6.015 0.000
-0.019 0.000 8.493
Li Co Sn O
8 12 4 32
Direct
0.122 0.122 0.377 Li
0.127 0.626 0.876 Li
0.374 0.873 0.124 Li
0.378 0.376 0.627 Li
0.623 0.126 0.873 Li
0.624 0.622 0.373 Li
0.874 0.377 0.127 Li
0.878 0.878 0.623 Li
0.001 0.259 0.758 Co
0.011 0.501 0.511 Co
0.240 0.250 0.011 Co
0.252 0.492 0.260 Co
0.257 0.743 0.500 Co
0.491 0.240 0.251 Co
0.499 0.989 0.489 Co
0.508 0.748 0.740 Co
0.741 0.999 0.242 Co
0.750 0.760 0.989 Co
0.760 0.509 0.749 Co
0.992 0.008 0.000 Co
0.001 0.750 0.250 Sn
0.250 0.999 0.750 Sn
0.500 0.500 0.000 Sn
0.750 0.250 0.500 Sn
0.004 0.022 0.764 O
0.010 0.240 0.991 O
0.015 0.504 0.275 O
0.033 0.742 0.497 O
0.227 0.009 0.995 O
0.237 0.245 0.771 O
0.245 0.523 0.493 O
0.247 0.732 0.273 O
0.255 0.491 0.024 O
0.258 0.967 0.503 O
0.261 0.258 0.243 O
0.268 0.753 0.727 O
0.477 0.254 0.013 O
0.477 0.755 0.507 O
0.487 0.478 0.247 O
0.496 0.985 0.725 O
0.504 0.228 0.488 O
0.509 0.745 0.976 O
0.510 0.008 0.260 O
0.522 0.513 0.753 O
0.727 0.237 0.254 O
0.739 0.003 0.478 O
0.742 0.739 0.757 O
0.746 0.523 0.987 O
0.755 0.763 0.229 O
0.760 0.990 0.009 O
0.763 0.273 0.746 O
0.772 0.496 0.512 O
0.978 0.996 0.236 O
0.991 0.773 0.005 O
0.992 0.490 0.740 O
0.997 0.261 0.522 O
```